# 1
{"formula": "Mn2Bi3O7", "functional": "PBE+U", "state": "relaxed", "cell": [[2.934, -10.306, 0.000], [2.934, 10.306, 0.000], [0.000, 0.000, 5.808]], "species": ["Mn", "Mn", "Mn", "Mn", "Bi", "Bi", "Bi", "Bi", "Bi", "Bi", "O", "O", "O", "O", "O", "O", "O", "O", "O", "O", "O", "O", "O", "O"], "fractional_positions": [[0.104, 0.896, 0.000], [0.353, 0.567, 0.492], [0.567, 0.353, 0.492], [0.896, 0.104, 0.000], [0.148, 0.778, 0.470], [0.322, 0.695, 0.964], [0.559, 0.559, 0.090], [0.695, 0.322, 0.964], [0.778, 0.148, 0.470], [0.853, 0.853, 0.586], [0.100, 0.676, 0.068], [0.102, 0.357, 0.726], [0.121, 0.382, 0.251], [0.357, 0.102, 0.726], [0.369, 0.805, 0.576], [0.382, 0.121, 0.251], [0.479, 0.479, 0.468], [0.606, 0.791, 0.241], [0.613, 0.799, 0.724], [0.676, 0.100, 0.068], [0.791, 0.606, 0.241], [0.799, 0.613, 0.724], [0.805, 0.369, 0.576], [0.934, 0.934, 0.970]], "polymorph_energy_mev_per_atom": 4, "space_group": "Cm", "ef_kj_per_mol_fu": -1993}

# 2
{"formula": "Mn2BiO5", "functional": "PBE+U", "state": "relaxed", "cell": [[7.655, 0.000, 0.000], [0.000, 8.643, 0.000], [0.000, 0.000, 5.880]], "species": ["Mn", "Mn", "Mn", "Mn", "Mn", "Mn", "Mn", "Mn", "Bi", "Bi", "Bi", "Bi", "O", "O", "O", "O", "O", "O", "O", "O", "O", "O", "O", "O", "O", "O", "O", "O", "O", "O", "O", "O"], "fractional_positions": [[0.000, 0.000, 0.242], [0.000, 0.000, 0.758], [0.094, 0.349, 0.000], [0.406, 0.849, 0.000], [0.500, 0.500, 0.242], [0.500, 0.500, 0.758], [0.594, 0.151, 0.000], [0.906, 0.651, 0.000], [0.155, 0.665, 0.500], [0.345, 0.165, 0.500], [0.655, 0.835, 0.500], [0.845, 0.335, 0.500], [0.000, 0.500, 0.216], [0.000, 0.500, 0.784], [0.114, 0.201, 0.250], [0.114, 0.201, 0.750], [0.145, 0.926, 0.000], [0.155, 0.943, 0.500], [0.345, 0.443, 0.500], [0.355, 0.426, 0.000], [0.386, 0.701, 0.250], [0.386, 0.701, 0.750], [0.500, 0.000, 0.216], [0.500, 0.000, 0.784], [0.614, 0.299, 0.250], [0.614, 0.299, 0.750], [0.645, 0.574, 0.000], [0.655, 0.557, 0.500], [0.845, 0.057, 0.500], [0.855, 0.074, 0.000], [0.886, 0.799, 0.250], [0.886, 0.799, 0.750]], "space_group": "Pbam", "ef_kj_per_mol_fu": -1455}

# 3
{"formula": "Mn2Bi2O5", "functional": "PBE+U", "state": "relaxed", "cell": [[9.986, 0.000, 0.000], [-4.329, 9.039, 0.000], [-1.354, -3.822, 9.353]], "species": ["Mn", "Mn", "Mn", "Mn", "Mn", "Mn", "Mn", "Mn", "Mn", "Mn", "Mn", "Mn", "Bi", "Bi", "Bi", "Bi", "Bi", "Bi", "Bi", "Bi", "Bi", "Bi", "Bi", "Bi", "O", "O", "O", "O", "O", "O", "O", "O", "O", "O", "O", "O", "O", "O", "O", "O", "O", "O", "O", "O", "O", "O", "O", "O", "O", "O", "O", "O", "O", "O"], "fractional_positions": [[0.020, 0.331, 0.451], [0.040, 0.129, 0.666], [0.156, 0.956, 0.888], [0.298, 0.199, 0.274], [0.375, 0.467, 0.668], [0.401, 0.844, 0.831], [0.599, 0.156, 0.169], [0.625, 0.533, 0.332], [0.702, 0.801, 0.726], [0.844, 0.044, 0.112], [0.960, 0.871, 0.334], [0.980, 0.669, 0.549], [0.072, 0.530, 0.805], [0.178, 0.336, 0.063], [0.280, 0.847, 0.177], [0.307, 0.011, 0.566], [0.343, 0.623, 0.429], [0.464, 0.301, 0.925], [0.536, 0.699, 0.075], [0.657, 0.377, 0.571], [0.693, 0.989, 0.434], [0.720, 0.153, 0.823], [0.822, 0.664, 0.937], [0.928, 0.470, 0.195], [0.044, 0.696, 0.066], [0.074, 0.926, 0.569], [0.086, 0.152, 0.137], [0.109, 0.571, 0.426], [0.144, 0.377, 0.674], [0.148, 0.742, 0.750], [0.191, 0.185, 0.874], [0.206, 0.994, 0.340], [0.290, 0.396, 0.436], [0.324, 0.701, 0.960], [0.331, 0.023, 0.088], [0.386, 0.049, 0.816], [0.389, 0.259, 0.658], [0.425, 0.373, 0.146], [0.446, 0.716, 0.652], [0.554, 0.284, 0.348], [0.575, 0.627, 0.854], [0.611, 0.741, 0.342], [0.614, 0.951, 0.184], [0.669, 0.977, 0.912], [0.676, 0.299, 0.040], [0.710, 0.604, 0.564], [0.794, 0.006, 0.660], [0.809, 0.815, 0.126], [0.852, 0.258, 0.250], [0.856, 0.623, 0.326], [0.891, 0.429, 0.574], [0.914, 0.848, 0.863], [0.926, 0.074, 0.431], [0.956, 0.304, 0.934]], "space_group": "P-1", "ef_kj_per_mol_fu": -1492}

# 4
{"formula": "MnBiO3", "functional": "PBE+U", "state": "relaxed", "cell": [[4.854, -2.850, 0.000], [4.854, 2.850, 0.000], [-3.559, 0.000, 9.345]], "species": ["Mn", "Mn", "Mn", "Mn", "Bi", "Bi", "Bi", "Bi", "O", "O", "O", "O", "O", "O", "O", "O", "O", "O", "O", "O"], "fractional_positions": [[0.000, 0.000, 0.000], [0.288, 0.213, 0.750], [0.574, 0.426, 0.500], [0.787, 0.712, 0.250], [0.142, 0.131, 0.374], [0.433, 0.293, 0.126], [0.707, 0.567, 0.874], [0.869, 0.858, 0.626], [0.059, 0.134, 0.829], [0.074, 0.634, 0.878], [0.207, 0.500, 0.379], [0.366, 0.926, 0.122], [0.500, 0.793, 0.621], [0.517, 0.292, 0.671], [0.595, 0.107, 0.916], [0.680, 0.020, 0.416], [0.708, 0.483, 0.329], [0.866, 0.941, 0.171], [0.893, 0.405, 0.084], [0.980, 0.320, 0.584]], "space_group": "C2", "ef_kj_per_mol_fu": -871}

# 5
{"formula": "Mn2Bi3O7", "functional": "PBE+U", "state": "relaxed", "cell": [[10.286, -2.917, 0.000], [10.286, 2.917, 0.000], [0.000, 0.000, 5.802]], "species": ["Mn", "Mn", "Mn", "Mn", "Bi", "Bi", "Bi", "Bi", "Bi", "Bi", "O", "O", "O", "O", "O", "O", "O", "O", "O", "O", "O", "O", "O", "O"], "fractional_positions": [[0.132, 0.657, 0.500], [0.343, 0.868, 0.500], [0.657, 0.132, 0.000], [0.868, 0.343, 0.000], [0.087, 0.543, 0.976], [0.339, 0.661, 0.091], [0.457, 0.913, 0.976], [0.543, 0.087, 0.476], [0.661, 0.339, 0.591], [0.913, 0.457, 0.476], [0.121, 0.124, 0.254], [0.124, 0.121, 0.754], [0.131, 0.441, 0.578], [0.288, 0.712, 0.476], [0.382, 0.427, 0.222], [0.427, 0.382, 0.722], [0.441, 0.131, 0.078], [0.559, 0.869, 0.578], [0.573, 0.618, 0.222], [0.618, 0.573, 0.722], [0.712, 0.288, 0.976], [0.869, 0.559, 0.078], [0.876, 0.879, 0.254], [0.879, 0.876, 0.754]], "polymorph_energy_mev_per_atom": 8, "space_group": "Cmc2_1", "ef_kj_per_mol_fu": -1988}

# 6
{"formula": "Mn7BiO12", "functional": "PBE+U", "state": "relaxed", "cell": [[-3.794, 3.794, 3.794], [3.794, -3.794, 3.794], [3.794, 3.794, -3.794]], "species": ["Mn", "Mn", "Mn", "Mn", "Mn", "Mn", "Mn", "Bi", "O", "O", "O", "O", "O", "O", "O", "O", "O", "O", "O", "O"], "fractional_positions": [[0.000, 0.000, 0.500], [0.000, 0.500, 0.000], [0.000, 0.500, 0.500], [0.500, 0.000, 0.000], [0.500, 0.000, 0.500], [0.500, 0.500, 0.000], [0.500, 0.500, 0.500], [0.000, 0.000, 0.000], [0.133, 0.825, 0.308], [0.175, 0.308, 0.483], [0.175, 0.692, 0.867], [0.308, 0.133, 0.825], [0.308, 0.483, 0.175], [0.483, 0.175, 0.308], [0.517, 0.825, 0.692], [0.692, 0.517, 0.825], [0.692, 0.867, 0.175], [0.825, 0.308, 0.133], [0.825, 0.692, 0.517], [0.867, 0.175, 0.692]], "polymorph_energy_mev_per_atom": 3, "space_group": "Im-3", "ef_kj_per_mol_fu": -3732}

# 7
{"formula": "MnBi12O20", "functional": "PBE+U", "state": "relaxed", "cell": [[-5.153, 5.153, 5.153], [5.153, -5.153, 5.153], [5.153, 5.153, -5.153]], "species": ["Mn", "Bi", "Bi", "Bi", "Bi", "Bi", "Bi", "Bi", "Bi", "Bi", "Bi", "Bi", "Bi", "O", "O", "O", "O", "O", "O", "O", "O", "O", "O", "O", "O", "O", "O", "O", "O", "O", "O", "O", "O"], "fractional_positions": [[0.000, 0.000, 0.000], [0.141, 0.303, 0.807], [0.162, 0.859, 0.666], [0.193, 0.496, 0.334], [0.303, 0.807, 0.141], [0.334, 0.193, 0.496], [0.496, 0.334, 0.193], [0.504, 0.697, 0.838], [0.666, 0.162, 0.859], [0.697, 0.838, 0.504], [0.807, 0.141, 0.303], [0.838, 0.504, 0.697], [0.859, 0.666, 0.162], [0.000, 0.000, 0.206], [0.000, 0.000, 0.611], [0.000, 0.206, 0.000], [0.000, 0.611, 0.000], [0.120, 0.762, 0.380], [0.206, 0.000, 0.000], [0.238, 0.358, 0.618], [0.261, 0.642, 0.880], [0.358, 0.618, 0.238], [0.380, 0.120, 0.762], [0.382, 0.739, 0.620], [0.389, 0.389, 0.389], [0.611, 0.000, 0.000], [0.618, 0.238, 0.358], [0.620, 0.382, 0.739], [0.642, 0.880, 0.261], [0.739, 0.620, 0.382], [0.762, 0.380, 0.120], [0.794, 0.794, 0.794], [0.880, 0.261, 0.642]], "space_group": "I23", "ef_kj_per_mol_fu": -5160}

# 8
{"formula": "MnBi25O40", "functional": "PBE+U", "state": "relaxed", "cell": [[7.340, -5.191, 0.000], [7.340, 5.191, 0.000], [-0.001, 0.000, 14.682]], "species": ["Mn", "Bi", "Bi", "Bi", "Bi", "Bi", "Bi", "Bi", "Bi", "Bi", "Bi", "Bi", "Bi", "Bi", "Bi", "Bi", "Bi", "Bi", "Bi", "Bi", "Bi", "Bi", "Bi", "Bi", "Bi", "Bi", "O", "O", "O", "O", "O", "O", "O", "O", "O", "O", "O", "O", "O", "O", "O", "O", "O", "O", "O", "O", "O", "O", "O", "O", "O", "O", "O", "O", "O", "O", "O", "O", "O", "O", "O", "O", "O", "O", "O", "O"], "fractional_positions": [[0.000, 0.000, 0.000], [0.010, 0.650, 0.847], [0.054, 0.089, 0.750], [0.094, 0.736, 0.595], [0.166, 0.528, 0.335], [0.218, 0.580, 0.079], [0.260, 0.243, 0.569], [0.264, 0.906, 0.405], [0.271, 0.230, 0.928], [0.350, 0.990, 0.153], [0.417, 0.445, 0.749], [0.420, 0.782, 0.921], [0.472, 0.834, 0.665], [0.497, 0.503, 0.500], [0.511, 0.161, 0.348], [0.555, 0.583, 0.251], [0.600, 0.242, 0.098], [0.671, 0.026, 0.830], [0.726, 0.091, 0.585], [0.757, 0.740, 0.431], [0.758, 0.400, 0.902], [0.770, 0.729, 0.072], [0.839, 0.489, 0.652], [0.909, 0.274, 0.415], [0.911, 0.946, 0.250], [0.974, 0.329, 0.170], [0.001, 0.193, 0.000], [0.055, 0.567, 0.683], [0.064, 0.053, 0.307], [0.068, 0.570, 0.187], [0.095, 0.905, 0.097], [0.095, 0.905, 0.903], [0.180, 0.192, 0.442], [0.243, 0.503, 0.500], [0.247, 0.513, 0.871], [0.257, 0.004, 0.626], [0.297, 0.321, 0.058], [0.316, 0.684, 0.314], [0.316, 0.684, 0.686], [0.392, 0.004, 0.001], [0.430, 0.932, 0.813], [0.433, 0.945, 0.317], [0.450, 0.435, 0.184], [0.487, 0.753, 0.129], [0.497, 0.757, 0.500], [0.502, 0.137, 0.501], [0.503, 0.237, 0.881], [0.558, 0.065, 0.179], [0.565, 0.550, 0.816], [0.575, 0.064, 0.690], [0.624, 0.376, 0.374], [0.624, 0.376, 0.626], [0.679, 0.703, 0.942], [0.745, 0.006, 0.367], [0.763, 0.497, 0.119], [0.803, 0.197, 0.193], [0.803, 0.197, 0.807], [0.807, 0.999, 0.000], [0.808, 0.820, 0.558], [0.863, 0.498, 0.499], [0.935, 0.442, 0.821], [0.936, 0.425, 0.310], [0.947, 0.936, 0.693], [0.994, 0.255, 0.633], [0.996, 0.608, 0.999], [0.996, 0.743, 0.374]], "space_group": "C2", "ef_kj_per_mol_fu": -10306}

# 9
{"formula": "Mn6BiPO12", "functional": "PBE+U", "state": "relaxed", "cell": [[0.000, 4.920, 4.920], [4.920, 0.000, 4.920], [4.920, 4.920, 0.000]], "species": ["Mn", "Mn", "Mn", "Mn", "Mn", "Mn", "Bi", "P", "O", "O", "O", "O", "O", "O", "O", "O", "O", "O", "O", "O"], "fractional_positions": [[0.246, 0.246, 0.754], [0.246, 0.754, 0.246], [0.246, 0.754, 0.754], [0.754, 0.246, 0.246], [0.754, 0.246, 0.754], [0.754, 0.754, 0.246], [0.750, 0.750, 0.750], [0.250, 0.250, 0.250], [0.159, 0.159, 0.159], [0.159, 0.159, 0.522], [0.159, 0.522, 0.159], [0.187, 0.604, 0.604], [0.323, 0.892, 0.892], [0.522, 0.159, 0.159], [0.604, 0.187, 0.604], [0.604, 0.604, 0.187], [0.604, 0.604, 0.604], [0.892, 0.323, 0.892], [0.892, 0.892, 0.323], [0.892, 0.892, 0.892]], "space_group": "F-43m", "ef_kj_per_mol_fu": -4137}

# 10
{"formula": "Sr2MnBiPbO6", "functional": "PBE+U", "state": "relaxed", "cell": [[5.512, -5.417, 0.000], [5.512, 5.417, 0.000], [-2.766, 0.000, 12.202]], "species": ["Sr", "Sr", "Sr", "Sr", "Sr", "Sr", "Sr", "Sr", "Mn", "Mn", "Mn", "Mn", "Bi", "Bi", "Bi", "Bi", "Pb", "Pb", "Pb", "Pb", "O", "O", "O", "O", "O", "O", "O", "O", "O", "O", "O", "O", "O", "O", "O", "O", "O", "O", "O", "O", "O", "O", "O", "O"], "fractional_positions": [[0.038, 0.536, 0.153], [0.040, 0.040, 0.152], [0.461, 0.459, 0.848], [0.464, 0.962, 0.847], [0.539, 0.036, 0.153], [0.541, 0.539, 0.152], [0.960, 0.960, 0.848], [0.964, 0.461, 0.847], [0.251, 0.249, 0.000], [0.251, 0.749, 0.000], [0.751, 0.249, 0.000], [0.751, 0.749, 0.000], [0.154, 0.685, 0.630], [0.315, 0.846, 0.370], [0.654, 0.185, 0.630], [0.815, 0.346, 0.370], [0.143, 0.163, 0.630], [0.337, 0.357, 0.370], [0.643, 0.663, 0.630], [0.837, 0.857, 0.370], [0.003, 0.751, 0.005], [0.086, 0.006, 0.356], [0.168, 0.613, 0.361], [0.193, 0.683, 0.803], [0.217, 0.215, 0.812], [0.249, 0.997, 0.995], [0.251, 0.502, 0.005], [0.285, 0.285, 0.189], [0.317, 0.807, 0.197], [0.387, 0.832, 0.639], [0.494, 0.414, 0.644], [0.498, 0.749, 0.995], [0.503, 0.251, 0.006], [0.586, 0.506, 0.356], [0.669, 0.113, 0.360], [0.693, 0.183, 0.803], [0.715, 0.715, 0.811], [0.749, 0.497, 0.994], [0.751, 0.002, 0.006], [0.785, 0.783, 0.188], [0.817, 0.307, 0.197], [0.887, 0.331, 0.640], [0.994, 0.914, 0.644], [0.998, 0.249, 0.994]], "space_group": "C2", "ef_kj_per_mol_fu": -2431}

# 11
{"formula": "Mn2Bi3Sb3O14", "functional": "PBE+U", "state": "relaxed", "cell": [[3.778, 2.181, 5.994], [-3.778, 2.181, 5.994], [0.000, -4.363, 5.994]], "species": ["Mn", "Mn", "Bi", "Bi", "Bi", "Sb", "Sb", "Sb", "O", "O", "O", "O", "O", "O", "O", "O", "O", "O", "O", "O", "O", "O"], "fractional_positions": [[0.000, 0.000, 0.000], [0.500, 0.500, 0.500], [0.000, 0.500, 0.500], [0.500, 0.000, 0.500], [0.500, 0.500, 0.000], [0.000, 0.000, 0.500], [0.000, 0.500, 0.000], [0.500, 0.000, 0.000], [0.082, 0.681, 0.681], [0.090, 0.090, 0.647], [0.090, 0.647, 0.090], [0.319, 0.319, 0.918], [0.319, 0.918, 0.319], [0.353, 0.910, 0.910], [0.386, 0.386, 0.386], [0.614, 0.614, 0.614], [0.647, 0.090, 0.090], [0.681, 0.082, 0.681], [0.681, 0.681, 0.082], [0.910, 0.353, 0.910], [0.910, 0.910, 0.353], [0.918, 0.319, 0.319]], "space_group": "R-3m", "ef_kj_per_mol_fu": -4056}